Crystalline Cu3SnP4O16 at its relaxed geometry, computed with PBE.

a = 6.0651 Å, b = 5.1353 Å, c = 9.9862 Å
α = 87.63°, β = 90.00°, γ = 90.00°
Fractional coordinates of all 24 atoms:
Cu1 0.5000 0.8714 0.3087
Cu2 0.5000 0.6468 0.8099
Cu3 0.0000 0.3717 0.1957
Sn1 0.0000 0.0457 0.7107
P1 0.0000 0.9101 0.3887
P2 0.0000 0.5788 0.8999
P3 0.5000 0.4390 0.1124
P4 0.5000 0.0801 0.5977
O1 0.0000 0.8397 0.5430
O2 0.1995 0.7752 0.3235
O3 0.8005 0.7752 0.3235
O4 0.5000 0.7855 0.6341
O5 0.5000 0.7347 0.1371
O6 0.1911 0.7433 0.8266
O7 0.8089 0.7433 0.8266
O8 0.0000 0.6159 0.0499
O9 0.5000 0.4136 0.9578
O10 0.6986 0.2876 0.1760
O11 0.3014 0.2876 0.1760
O12 0.0000 0.2885 0.8697
O13 0.0000 0.2103 0.3693
O14 0.7042 0.2213 0.6596
O15 0.2958 0.2213 0.6596
O16 0.5000 0.1135 0.4440

For the total energy, the calculation gives -6.468 eV per atom. The value obtained for the MP2020-corrected energy is -6.926 eV per atom.